{
  "formula": "Ca5Ru2N6",
  "functional": "PBE",
  "state": "optimized geometry",
  "lattice": [[5.044, -3.236, 0.000], [5.044, 3.236, 0.000], [-2.774, 0.000, 12.311]],
  "species": ["Ca", "Ca", "Ca", "Ca", "Ca", "Ca", "Ca", "Ca", "Ca", "Ca", "Ru", "Ru", "Ru", "Ru", "N", "N", "N", "N", "N", "N", "N", "N", "N", "N", "N", "N"],
  "fractional_positions": [[0.126, 0.874, 0.750], [0.178, 0.697, 0.000], [0.230, 0.451, 0.281], [0.303, 0.822, 0.500], [0.451, 0.230, 0.781], [0.549, 0.770, 0.219], [0.697, 0.178, 0.500], [0.770, 0.549, 0.719], [0.822, 0.303, 0.000], [0.874, 0.126, 0.250], [0.178, 0.362, 0.559], [0.362, 0.178, 0.059], [0.638, 0.822, 0.941], [0.822, 0.638, 0.441], [0.108, 0.176, 0.646], [0.174, 0.237, 0.413], [0.176, 0.108, 0.146], [0.237, 0.174, 0.913], [0.416, 0.491, 0.626], [0.491, 0.416, 0.126], [0.509, 0.584, 0.874], [0.584, 0.509, 0.374], [0.763, 0.826, 0.087], [0.824, 0.892, 0.854], [0.826, 0.763, 0.587], [0.892, 0.824, 0.354]],
  "delta_e_f_ev_per_atom": -0.73,
  "total_magnetization_mub_per_cell": 0.05
}